# 1
# PBE+U NbVO5, relaxed
# - excess energy over the best structure of this formula in the dataset (meV/atom) = 29
data_NbVO5
_chemical_formula_sum 'Nb2 V2 O10'
_cell_length_a 6.8776
_cell_length_b 6.8776
_cell_length_c 4.2258
_cell_angle_alpha 90.00
_cell_angle_beta 90.00
_cell_angle_gamma 90.00
_space_group_name_H-M_alt 'P 1'
_space_group_IT_number 1
loop_
_space_group_symop_operation_xyz
'x,y,z'
loop_
_atom_site_label
_atom_site_type_symbol
_atom_site_fract_x
_atom_site_fract_y
_atom_site_fract_z
_atom_site_occupancy
Nb1 Nb 0.2500 0.2500 0.1980 1
Nb2 Nb 0.7500 0.7500 0.8020 1
V1 V 0.2500 0.7500 0.5000 1
V2 V 0.7500 0.2500 0.5000 1
O1 O 0.0407 0.7427 0.7305 1
O2 O 0.2427 0.9593 0.2695 1
O3 O 0.2500 0.2500 0.7746 1
O4 O 0.2573 0.5407 0.2695 1
O5 O 0.4593 0.7573 0.7305 1
O6 O 0.5407 0.2427 0.2695 1
O7 O 0.7427 0.4593 0.7305 1
O8 O 0.7500 0.7500 0.2254 1
O9 O 0.7573 0.0407 0.7305 1
O10 O 0.9593 0.2573 0.2695 1

=====

# 2
A relaxed Sr5La3Mn8O16F8 crystal, computed with PBE+U.

```
data_Sr5La3Mn8O16F8
_chemical_formula_sum 'Sr5 La3 Mn8 O16 F8'
_cell_length_a 5.7830
_cell_length_b 5.8519
_cell_length_c 15.7106
_cell_angle_alpha 90.03
_cell_angle_beta 90.30
_cell_angle_gamma 90.55
_space_group_name_H-M_alt 'P 1'
_space_group_IT_number 1
loop_
_space_group_symop_operation_xyz
'x,y,z'
loop_
_atom_site_label
_atom_site_type_symbol
_atom_site_fract_x
_atom_site_fract_y
_atom_site_fract_z
_atom_site_occupancy
Sr1 Sr 0.0000 0.0000 0.0000 1
Sr2 Sr 0.0026 0.9901 0.4962 1
Sr3 Sr 0.5192 0.4995 0.2477 1
Sr4 Sr 0.5252 0.4899 0.0031 1
Sr5 Sr 0.5452 0.4934 0.7393 1
La1 La 0.0240 0.9848 0.2441 1
La2 La 0.4650 0.5040 0.5025 1
La3 La 0.9781 0.9885 0.7364 1
Mn1 Mn 0.0044 0.4768 0.8711 1
Mn2 Mn 0.0101 0.4941 0.1209 1
Mn3 Mn 0.0161 0.4857 0.3718 1
Mn4 Mn 0.5081 0.9927 0.1212 1
Mn5 Mn 0.5149 0.9898 0.3717 1
Mn6 Mn 0.5179 0.9807 0.6183 1
Mn7 Mn 0.5265 0.0048 0.8708 1
Mn8 Mn 0.9980 0.5040 0.6193 1
O1 O 0.0043 0.4235 0.9961 1
O2 O 0.0098 0.5794 0.2477 1
O3 O 0.0571 0.4124 0.4980 1
O4 O 0.2360 0.2150 0.1416 1
O5 O 0.2397 0.7419 0.6060 1
O6 O 0.2586 0.7429 0.3919 1
O7 O 0.4880 0.9175 0.2452 1
O8 O 0.4919 0.0855 0.4973 1
O9 O 0.5180 0.0703 0.9976 1
O10 O 0.5486 0.9194 0.7438 1
O11 O 0.7315 0.7256 0.5945 1
O12 O 0.7724 0.7655 0.1090 1
O13 O 0.7914 0.2331 0.6368 1
O14 O 0.7986 0.2113 0.8482 1
O15 O 0.8025 0.1991 0.3500 1
O16 O 0.9842 0.5841 0.7466 1
F1 F 0.2508 0.7522 0.8908 1
F2 F 0.2708 0.7285 0.0926 1
F3 F 0.2790 0.2529 0.8361 1
F4 F 0.2819 0.2448 0.6493 1
F5 F 0.2828 0.2545 0.3418 1
F6 F 0.7383 0.7066 0.4009 1
F7 F 0.7423 0.7208 0.8970 1
F8 F 0.7476 0.2571 0.1503 1
```

=====

# 3
A relaxed Sr2MgCrSbO6 crystal, computed with PBE+U.

```
data_Sr2MgCrSbO6
_chemical_formula_sum 'Sr2 Mg1 Cr1 Sb1 O6'
_cell_length_a 5.9604
_cell_length_b 5.9604
_cell_length_c 5.8788
_cell_angle_alpha 115.34
_cell_angle_beta 115.34
_cell_angle_gamma 58.59
_space_group_name_H-M_alt 'P 1'
_space_group_IT_number 1
loop_
_space_group_symop_operation_xyz
'x,y,z'
loop_
_atom_site_label
_atom_site_type_symbol
_atom_site_fract_x
_atom_site_fract_y
_atom_site_fract_z
_atom_site_occupancy
Sr1 Sr 0.1919 0.1919 0.1810 1
Sr2 Sr 0.8081 0.8081 0.8190 1
Mg1 Mg 0.5000 0.5000 0.5000 1
Cr1 Cr 0.0000 0.0000 0.5000 1
Sb1 Sb 0.5000 0.5000 0.0000 1
O1 O 0.1986 0.6952 0.2317 1
O2 O 0.2486 0.2486 0.6427 1
O3 O 0.3048 0.8014 0.7683 1
O4 O 0.6952 0.1986 0.2317 1
O5 O 0.7514 0.7514 0.3573 1
O6 O 0.8014 0.3048 0.7683 1
```

=====

# 4
# PBE+U KBaSrMnO6, relaxed
# - excess energy over the best structure of this formula in the dataset (meV/atom) = 8
data_KBaSrMnO6
_chemical_formula_sum 'K1 Ba1 Sr1 Mn1 O6'
_cell_length_a 6.1199
_cell_length_b 6.1199
_cell_length_c 6.1199
_cell_angle_alpha 60.00
_cell_angle_beta 60.00
_cell_angle_gamma 60.00
_space_group_name_H-M_alt 'P 1'
_space_group_IT_number 1
loop_
_space_group_symop_operation_xyz
'x,y,z'
loop_
_atom_site_label
_atom_site_type_symbol
_atom_site_fract_x
_atom_site_fract_y
_atom_site_fract_z
_atom_site_occupancy
K1 K 0.0000 0.0000 0.0000 1
Ba1 Ba 0.5000 0.5000 0.5000 1
Sr1 Sr 0.2500 0.2500 0.2500 1
Mn1 Mn 0.7500 0.7500 0.7500 1
O1 O 0.5309 0.5309 0.9691 1
O2 O 0.5309 0.9691 0.5309 1
O3 O 0.5309 0.9691 0.9691 1
O4 O 0.9691 0.5309 0.5309 1
O5 O 0.9691 0.5309 0.9691 1
O6 O 0.9691 0.9691 0.5309 1

=====

# 5
# PBE+U Li3MoP2O8, relaxed
# - excess energy over the best structure of this formula in the dataset (meV/atom) = 5
data_Li3MoP2O8
_chemical_formula_sum 'Li12 Mo4 P8 O32'
_cell_length_a 5.0457
_cell_length_b 18.3069
_cell_length_c 7.9284
_cell_angle_alpha 90.00
_cell_angle_beta 126.96
_cell_angle_gamma 90.00
_space_group_name_H-M_alt 'P 1'
_space_group_IT_number 1
loop_
_space_group_symop_operation_xyz
'x,y,z'
loop_
_atom_site_label
_atom_site_type_symbol
_atom_site_fract_x
_atom_site_fract_y
_atom_site_fract_z
_atom_site_occupancy
Li1 Li 0.0033 0.0557 0.2139 1
Li2 Li 0.0033 0.4443 0.7139 1
Li3 Li 0.2786 0.1162 0.9993 1
Li4 Li 0.2786 0.3838 0.4993 1
Li5 Li 0.3724 0.7006 0.6861 1
Li6 Li 0.3724 0.7994 0.1861 1
Li7 Li 0.6276 0.2006 0.8139 1
Li8 Li 0.6276 0.2994 0.3139 1
Li9 Li 0.7214 0.6162 0.5007 1
Li10 Li 0.7214 0.8838 0.0007 1
Li11 Li 0.9967 0.5557 0.2861 1
Li12 Li 0.9967 0.9443 0.7861 1
Mo1 Mo 0.1780 0.6266 0.9830 1
Mo2 Mo 0.1780 0.8734 0.4830 1
Mo3 Mo 0.8220 0.1266 0.5170 1
Mo4 Mo 0.8220 0.3734 0.0170 1
P1 P 0.1197 0.2153 0.2927 1
P2 P 0.1197 0.2847 0.7927 1
P3 P 0.4849 0.5355 0.7668 1
P4 P 0.4849 0.9645 0.2668 1
P5 P 0.5151 0.0355 0.7332 1
P6 P 0.5151 0.4645 0.2332 1
P7 P 0.8803 0.7153 0.2073 1
P8 P 0.8803 0.7847 0.7073 1
O1 O 0.0455 0.1733 0.1027 1
O2 O 0.0455 0.3267 0.6027 1
O3 O 0.1578 0.2001 0.7719 1
O4 O 0.1578 0.2999 0.2719 1
O5 O 0.1610 0.7016 0.1819 1
O6 O 0.1610 0.7984 0.6819 1
O7 O 0.1786 0.5586 0.7623 1
O8 O 0.1786 0.9414 0.2623 1
O9 O 0.1871 0.0638 0.5276 1
O10 O 0.1871 0.4362 0.0276 1
O11 O 0.4374 0.5651 0.5715 1
O12 O 0.4374 0.9349 0.0715 1
O13 O 0.4599 0.1917 0.4994 1
O14 O 0.4599 0.3083 0.9994 1
O15 O 0.4786 0.0507 0.2679 1
O16 O 0.4786 0.4493 0.7679 1
O17 O 0.5214 0.5507 0.2321 1
O18 O 0.5214 0.9493 0.7321 1
O19 O 0.5401 0.6917 0.0006 1
O20 O 0.5401 0.8083 0.5006 1
O21 O 0.5626 0.0651 0.9285 1
O22 O 0.5626 0.4349 0.4285 1
O23 O 0.8129 0.5638 0.9724 1
O24 O 0.8129 0.9362 0.4724 1
O25 O 0.8214 0.0586 0.7377 1
O26 O 0.8214 0.4414 0.2377 1
O27 O 0.8390 0.2016 0.3181 1
O28 O 0.8390 0.2984 0.8181 1
O29 O 0.8422 0.7001 0.7281 1
O30 O 0.8422 0.7999 0.2281 1
O31 O 0.9545 0.6733 0.3973 1
O32 O 0.9545 0.8267 0.8973 1

=====

# 6
A relaxed VH9C3O4 crystal, computed with PBE+U.

```
data_VH9C3O4
_chemical_formula_sum 'V4 H36 C12 O16'
_cell_length_a 8.6183
_cell_length_b 8.8064
_cell_length_c 9.9000
_cell_angle_alpha 103.22
_cell_angle_beta 96.40
_cell_angle_gamma 112.48
_space_group_name_H-M_alt 'P 1'
_space_group_IT_number 1
loop_
_space_group_symop_operation_xyz
'x,y,z'
loop_
_atom_site_label
_atom_site_type_symbol
_atom_site_fract_x
_atom_site_fract_y
_atom_site_fract_z
_atom_site_occupancy
V1 V 0.0278 0.1843 0.1316 1
V2 V 0.1325 0.1813 0.4595 1
V3 V 0.8675 0.8187 0.5405 1
V4 V 0.9722 0.8157 0.8684 1
H1 H 0.0081 0.6388 0.3241 1
H2 H 0.0397 0.7804 0.2140 1
H3 H 0.1050 0.5629 0.9327 1
H4 H 0.1643 0.6811 0.6125 1
H5 H 0.2115 0.8176 0.3537 1
H6 H 0.2283 0.2104 0.8184 1
H7 H 0.2682 0.8934 0.5939 1
H8 H 0.2764 0.7118 0.0809 1
H9 H 0.3060 0.8580 0.7629 1
H10 H 0.3144 0.6797 0.9047 1
H11 H 0.3148 0.3590 0.9952 1
H12 H 0.3520 0.0873 0.1411 1
H13 H 0.3690 0.1795 0.9446 1
H14 H 0.4176 0.1128 0.3262 1
H15 H 0.4196 0.6649 0.4425 1
H16 H 0.4430 0.2977 0.2691 1
H17 H 0.4655 0.7381 0.2912 1
H18 H 0.4674 0.4201 0.6709 1
H19 H 0.5326 0.5799 0.3291 1
H20 H 0.5345 0.2619 0.7088 1
H21 H 0.5570 0.7023 0.7309 1
H22 H 0.5804 0.3351 0.5575 1
H23 H 0.5824 0.8872 0.6738 1
H24 H 0.6310 0.8205 0.0554 1
H25 H 0.6480 0.9127 0.8589 1
H26 H 0.6852 0.6410 0.0048 1
H27 H 0.6856 0.3203 0.0953 1
H28 H 0.6940 0.1420 0.2371 1
H29 H 0.7236 0.2882 0.9191 1
H30 H 0.7318 0.1066 0.4061 1
H31 H 0.7717 0.7896 0.1816 1
H32 H 0.7885 0.1824 0.6463 1
H33 H 0.8357 0.3189 0.3875 1
H34 H 0.8950 0.4371 0.0673 1
H35 H 0.9603 0.2196 0.7860 1
H36 H 0.9919 0.3612 0.6759 1
C1 C 0.0710 0.7727 0.3223 1
C2 C 0.2095 0.8199 0.6648 1
C3 C 0.2189 0.6873 0.9685 1
C4 C 0.2659 0.2234 0.9318 1
C5 C 0.3603 0.1600 0.2498 1
C6 C 0.4843 0.3031 0.6232 1
C7 C 0.5157 0.6969 0.3768 1
C8 C 0.6397 0.8400 0.7502 1
C9 C 0.7341 0.7766 0.0682 1
C10 C 0.7811 0.3127 0.0315 1
C11 C 0.7905 0.1801 0.3352 1
C12 C 0.9290 0.2273 0.6777 1
O1 O 0.0169 0.8806 0.4172 1
O2 O 0.0704 0.8603 0.6998 1
O3 O 0.1210 0.1190 0.9762 1
O4 O 0.1410 0.3910 0.1756 1
O5 O 0.1749 0.8231 0.9553 1
O6 O 0.1909 0.1342 0.2674 1
O7 O 0.1986 0.3887 0.5181 1
O8 O 0.3259 0.1682 0.5415 1
O9 O 0.6741 0.8318 0.4585 1
O10 O 0.8014 0.6113 0.4819 1
O11 O 0.8091 0.8658 0.7326 1
O12 O 0.8251 0.1769 0.0447 1
O13 O 0.8590 0.6090 0.8244 1
O14 O 0.8790 0.8810 0.0238 1
O15 O 0.9296 0.1397 0.3002 1
O16 O 0.9831 0.1194 0.5828 1
```

=====

# 7
A relaxed Li4MnCo3P4O16 crystal, computed with PBE+U.

```
data_Li4MnCo3P4O16
_chemical_formula_sum 'Li4 Mn1 Co3 P4 O16'
_cell_length_a 4.7599
_cell_length_b 6.0153
_cell_length_c 10.3518
_cell_angle_alpha 90.00
_cell_angle_beta 90.04
_cell_angle_gamma 90.00
_space_group_name_H-M_alt 'P 1'
_space_group_IT_number 1
loop_
_space_group_symop_operation_xyz
'x,y,z'
loop_
_atom_site_label
_atom_site_type_symbol
_atom_site_fract_x
_atom_site_fract_y
_atom_site_fract_z
_atom_site_occupancy
Li1 Li 0.0000 0.2489 0.0000 1
Li2 Li 0.0000 0.7511 0.0000 1
Li3 Li 0.4992 0.2496 0.4979 1
Li4 Li 0.4992 0.7504 0.4979 1
Mn1 Mn 0.5261 0.5000 0.7793 1
Co1 Co 0.0226 0.0000 0.7180 1
Co2 Co 0.4739 0.0000 0.2202 1
Co3 Co 0.9769 0.5000 0.2791 1
P1 P 0.0838 0.5000 0.5903 1
P2 P 0.4132 0.5000 0.0953 1
P3 P 0.5893 0.0000 0.9065 1
P4 P 0.9119 0.0000 0.4050 1
O1 O 0.2074 0.5000 0.4512 1
O2 O 0.2179 0.2940 0.6612 1
O3 O 0.2179 0.7060 0.6612 1
O4 O 0.2348 0.0000 0.4009 1
O5 O 0.2668 0.0000 0.9004 1
O6 O 0.2768 0.2947 0.1660 1
O7 O 0.2768 0.7053 0.1660 1
O8 O 0.2894 0.5000 0.9567 1
O9 O 0.7058 0.0000 0.0470 1
O10 O 0.7306 0.2022 0.8362 1
O11 O 0.7306 0.7978 0.8362 1
O12 O 0.7365 0.5000 0.0980 1
O13 O 0.7617 0.5000 0.5934 1
O14 O 0.7740 0.2050 0.3341 1
O15 O 0.7740 0.7950 0.3341 1
O16 O 0.7919 0.0000 0.5445 1
```

=====

# 8
# PBE+U FePH5CO4, relaxed
# - excess energy over the best structure of this formula in the dataset (meV/atom) = 2
data_FePH5CO4
_chemical_formula_sum 'Fe2 P2 H10 C2 O8'
_cell_length_a 4.8560
_cell_length_b 5.8255
_cell_length_c 8.9966
_cell_angle_alpha 90.02
_cell_angle_beta 90.37
_cell_angle_gamma 90.82
_space_group_name_H-M_alt 'P 1'
_space_group_IT_number 1
loop_
_space_group_symop_operation_xyz
'x,y,z'
loop_
_atom_site_label
_atom_site_type_symbol
_atom_site_fract_x
_atom_site_fract_y
_atom_site_fract_z
_atom_site_occupancy
Fe1 Fe 0.0000 0.0000 0.0000 1
Fe2 Fe 0.4959 0.4990 0.9475 1
P1 P 0.0567 0.5006 0.1623 1
P2 P 0.5607 0.9990 0.7852 1
H1 H 0.0470 0.3445 0.4104 1
H2 H 0.0494 0.6514 0.4101 1
H3 H 0.0724 0.6332 0.7720 1
H4 H 0.0728 0.3638 0.7722 1
H5 H 0.3605 0.4999 0.3737 1
H6 H 0.5461 0.8449 0.5369 1
H7 H 0.5487 0.1515 0.5368 1
H8 H 0.5717 0.8639 0.1748 1
H9 H 0.5745 0.1325 0.1752 1
H10 H 0.8602 0.9999 0.5743 1
C1 C 0.1362 0.4983 0.3580 1
C2 C 0.6362 0.9988 0.5895 1
O1 O 0.1936 0.5001 0.7636 1
O2 O 0.1982 0.7172 0.0919 1
O3 O 0.2017 0.2912 0.0866 1
O4 O 0.2487 0.9989 0.8049 1
O5 O 0.6942 0.9988 0.1856 1
O6 O 0.7006 0.7832 0.8563 1
O7 O 0.7091 0.2112 0.8589 1
O8 O 0.7446 0.4955 0.1424 1

=====

| no. | corrected total energy (MP2020 scheme) (eV per cell) |
| --- | --- |
| 1 | -125.5 |
| 2 | -310.0 |
| 3 | -73.2 |
| 4 | -63.7 |
| 5 | -413.0 |
| 6 | -400.6 |
| 7 | -207.2 |
| 8 | -151.5 |